(1)
Li3Mn2P3O12 | PBE with a Hubbard U | optimized geometry

```
Li3Mn2P3O12
1.0
-6.313 6.515 3.549
-4.824 -7.004 4.750
4.842 1.291 8.533
Li O P Mn
12 48 12 8
direct
0.655 0.745 0.254
0.963 0.528 0.743
0.968 0.790 0.586
0.190 0.506 0.477
0.472 0.037 0.257
0.805 0.512 0.003
0.210 0.032 0.414
0.488 0.195 0.997
0.494 0.810 0.523
0.255 0.345 0.746
0.000 0.231 0.913
0.769 0.000 0.087
0.883 0.163 0.628
0.312 0.813 0.664
0.432 0.793 0.341
0.808 0.401 0.847
0.407 0.316 0.566
0.398 0.868 0.930
0.320 0.407 0.055
0.909 0.703 0.833
0.898 0.623 0.289
0.187 0.688 0.336
0.106 0.020 0.627
0.381 0.664 0.143
0.168 0.884 0.126
0.603 0.129 0.571
0.297 0.091 0.167
0.671 0.379 0.645
0.084 0.200 0.439
0.608 0.907 0.054
0.918 0.606 0.547
0.593 0.680 0.945
0.618 0.897 0.791
0.200 0.084 0.934
0.621 0.329 0.355
0.916 0.800 0.066
0.681 0.176 0.835
0.871 0.397 0.429
0.540 0.380 0.875
0.116 0.832 0.874
0.394 0.082 0.453
0.377 0.102 0.711
0.207 0.568 0.659
0.837 0.117 0.372
0.891 0.965 0.868
0.103 0.382 0.209
0.725 0.904 0.319
0.093 0.392 0.946
0.980 0.894 0.373
0.800 0.916 0.561
0.382 0.534 0.375
0.466 0.618 0.625
0.684 0.593 0.434
0.824 0.319 0.165
0.620 0.460 0.125
0.336 0.619 0.857
0.599 0.192 0.153
0.096 0.275 0.681
0.132 0.602 0.070
0.035 0.109 0.132
0.952 0.822 0.909
0.559 0.839 0.935
0.161 0.441 0.065
0.844 0.558 0.432
0.663 0.321 0.198
0.178 0.048 0.091
0.679 0.337 0.802
0.347 0.675 0.301
0.047 0.167 0.595
0.442 0.156 0.568
0.833 0.953 0.405
0.325 0.653 0.699
0.033 0.759 0.222
0.755 0.026 0.723
0.974 0.245 0.277
0.260 0.740 0.000
0.471 0.529 0.000
0.743 0.257 0.500
0.241 0.967 0.778
0.531 0.469 0.500
```

Results
As for the crystal system: monoclinic. Its corrected total energy (MP2020 scheme) is -7.49 eV per atom. For the energy of formation, the calculation gives -2506 meV per atom. The calculated density comes out at 2.961 Mg/m³.

---

(2)
Li2FeBO4 | PBE with a Hubbard U | optimized geometry

```
Li2FeBO4
1.0
-4.361 -1.425 2.148
1.367 -4.798 -0.880
2.731 -0.327 5.531
B O Fe Li
2 8 2 4
direct
0.317 0.317 0.744
0.683 0.683 0.256
0.280 0.612 0.757
0.804 0.804 0.032
0.612 0.280 0.757
0.199 0.199 0.565
0.801 0.801 0.435
0.196 0.196 0.968
0.388 0.720 0.243
0.720 0.388 0.243
0.196 0.804 0.000
0.804 0.196 0.000
0.178 0.822 0.500
0.674 0.674 0.713
0.326 0.326 0.287
0.822 0.178 0.500
```

Results
As for the crystal system: monoclinic. Its corrected total energy (MP2020 scheme) is -7.09 eV per atom. For the energy of formation, the calculation gives -2243 meV per atom. The calculated density comes out at 3.031 Mg/m³.

---

(3)
Li4Ti2Fe3Sb3O16 | PBE with a Hubbard U | optimized geometry

```
Li4Ti2Fe3Sb3O16
1.0
3.180 5.407 -0.077
-9.281 5.254 0.026
-0.082 -0.095 9.825
O Fe Sb Li Ti
32 6 6 8 4
direct
0.976 0.680 0.103
0.469 0.021 0.345
0.991 0.001 0.318
0.525 0.326 0.592
0.210 0.929 0.108
0.247 0.229 0.357
0.471 0.157 0.104
0.276 0.067 0.600
0.742 0.755 0.857
0.521 0.493 0.797
0.778 0.572 0.593
0.499 0.974 0.850
0.992 0.329 0.604
0.216 0.437 0.074
0.781 0.264 0.849
0.741 0.079 0.581
0.762 0.754 0.330
0.032 0.823 0.596
0.994 0.478 0.839
0.503 0.529 0.320
0.196 0.750 0.341
0.512 0.673 0.089
0.291 0.762 0.850
0.499 0.830 0.608
0.232 0.262 0.860
0.008 0.171 0.099
0.973 0.531 0.343
0.022 0.991 0.802
0.243 0.579 0.578
0.736 0.439 0.101
0.703 0.237 0.351
0.757 0.916 0.093
0.237 0.590 0.209
0.015 0.166 0.713
0.730 0.085 0.214
0.759 0.910 0.708
0.515 0.664 0.710
0.256 0.406 0.707
0.990 0.837 0.217
0.744 0.593 0.214
0.238 0.090 0.221
0.270 0.908 0.717
0.494 0.335 0.223
0.765 0.407 0.714
0.002 0.002 0.504
0.981 0.331 0.403
0.505 0.503 0.502
0.483 0.503 0.983
0.015 0.660 0.895
0.984 0.012 0.985
0.476 0.839 0.401
0.504 0.164 0.899
0.022 0.654 0.503
0.554 0.818 0.968
0.521 0.155 0.500
0.042 0.330 0.974
```

Results
As for the crystal system: triclinic. Its corrected total energy (MP2020 scheme) is -7.26 eV per atom. For the energy of formation, the calculation gives -2250 meV per atom. The calculated density comes out at 4.611 Mg/m³.

---

(4)
Y2MgMo2Cl2O8 | PBE with a Hubbard U | optimized geometry

```
Y2MgMo2Cl2O8
1.0
1.122 -3.392 5.415
5.815 -2.908 0.057
4.154 3.918 3.993
O Cl Y Mo Mg
8 2 2 2 1
direct
0.617 0.760 0.458
0.450 0.475 0.772
0.541 0.905 0.847
0.515 0.122 0.131
0.242 0.381 0.543
0.525 0.551 0.228
0.095 0.459 0.153
0.879 0.487 0.868
0.049 0.951 0.249
0.051 0.950 0.752
0.767 0.757 0.108
0.244 0.234 0.892
0.355 0.362 0.268
0.638 0.646 0.733
0.313 0.687 0.499
```

Results
As for the crystal system: triclinic. Its corrected total energy (MP2020 scheme) is -7.84 eV per atom. For the energy of formation, the calculation gives -2542 meV per atom. The calculated density comes out at 3.884 Mg/m³.

---

(5)
Fe10OF19 | PBE with a Hubbard U | optimized geometry

```
Fe10OF19
1.0
-3.490 -3.152 1.010
3.310 -4.346 -2.036
6.549 -3.608 11.618
Fe F O
10 19 1
direct
0.985 0.023 0.996
0.496 0.301 0.602
0.988 0.397 0.808
0.999 0.201 0.400
0.999 0.798 0.602
0.498 0.102 0.199
0.501 0.699 0.399
0.005 0.603 0.195
0.516 0.491 0.997
0.503 0.896 0.801
0.303 0.780 0.257
0.692 0.428 0.142
0.199 0.878 0.460
0.802 0.524 0.337
0.197 0.281 0.258
0.713 0.819 0.942
0.799 0.719 0.741
0.305 0.578 0.860
0.703 0.020 0.337
0.699 0.620 0.540
0.204 0.061 0.868
0.199 0.703 0.053
0.805 0.931 0.132
0.291 0.177 0.062
0.196 0.476 0.665
0.298 0.977 0.661
0.298 0.380 0.460
0.796 0.121 0.539
0.702 0.215 0.740
0.810 0.300 0.946
```

Results
As for the crystal system: triclinic. Its corrected total energy (MP2020 scheme) is -6.72 eV per atom. For the energy of formation, the calculation gives -2518 meV per atom. The calculated density comes out at 4.069 Mg/m³.

---

(6)
Li7Mn5O12 | PBE with a Hubbard U | optimized geometry

```
Li7Mn5O12
1.0
4.782 0.000 2.172
0.000 17.181 0.000
-0.143 0.000 5.291
Li Mn O
14 10 24
direct
0.000 0.917 0.500
0.500 0.167 0.500
0.500 0.917 0.000
0.500 0.417 0.000
0.500 0.082 0.000
0.500 0.497 0.500
0.500 0.582 0.000
0.500 0.751 0.000
0.500 0.997 0.500
0.000 0.417 0.500
0.500 0.336 0.500
0.500 0.667 0.500
0.500 0.251 0.000
0.500 0.836 0.500
0.000 0.082 0.500
0.000 0.334 0.000
0.000 0.582 0.500
0.000 0.752 0.500
0.000 0.252 0.500
0.000 0.667 0.000
0.000 0.834 0.000
0.000 0.167 0.000
0.000 0.499 0.000
0.000 0.999 0.000
0.232 0.667 0.277
0.790 0.830 0.763
0.790 0.330 0.763
0.764 0.082 0.223
0.210 0.003 0.237
0.790 0.003 0.763
0.764 0.252 0.223
0.764 0.917 0.219
0.236 0.417 0.781
0.764 0.752 0.223
0.210 0.503 0.237
0.236 0.582 0.777
0.236 0.082 0.777
0.764 0.582 0.223
0.210 0.830 0.237
0.232 0.167 0.277
0.236 0.917 0.780
0.210 0.330 0.237
0.790 0.503 0.763
0.768 0.167 0.723
0.236 0.252 0.777
0.236 0.752 0.777
0.764 0.417 0.219
0.768 0.667 0.723
```

Results
Its corrected total energy (MP2020 scheme) is -7.08 eV per atom. For the energy of formation, the calculation gives -2144 meV per atom. The calculated density comes out at 3.889 Mg/m³.

---

(7)
Sr2Mn2O5 | PBE with a Hubbard U | optimized geometry

```
Sr2Mn2O5
1.0
3.850 0.000 0.000
0.000 5.633 0.000
0.000 0.000 11.056
Sr O Mn
4 10 4
direct
0.000 0.218 0.867
0.000 0.718 0.633
0.000 0.282 0.367
0.000 0.782 0.133
0.500 0.500 0.500
0.000 0.702 0.902
0.500 0.000 0.000
0.500 0.527 0.231
0.000 0.202 0.598
0.000 0.798 0.402
0.000 0.298 0.098
0.500 0.027 0.269
0.500 0.973 0.731
0.500 0.473 0.769
0.500 0.757 0.376
0.500 0.743 0.876
0.500 0.243 0.624
0.500 0.257 0.124
```

Results
As for the crystal system: orthorhombic. Its corrected total energy (MP2020 scheme) is -7.73 eV per atom. For the energy of formation, the calculation gives -2572 meV per atom. The calculated density comes out at 5.057 Mg/m³.

---

(8)
LiMn2Fe2P4O16 | PBE with a Hubbard U | optimized geometry

```
LiMn2Fe2P4O16
1.0
-0.097 -8.444 5.233
0.111 -3.155 -5.090
4.978 -0.027 0.125
O P Mn Li Fe
16 4 2 1 2
direct
0.843 0.954 0.777
0.173 0.452 0.269
0.116 0.250 0.718
0.440 0.250 0.149
0.843 0.546 0.777
0.378 0.750 0.215
0.867 0.750 0.323
0.060 0.750 0.653
0.664 0.453 0.213
0.553 0.750 0.852
0.950 0.250 0.335
0.173 0.048 0.269
0.608 0.250 0.770
0.330 0.951 0.766
0.330 0.549 0.766
0.664 0.047 0.213
0.592 0.250 0.072
0.402 0.750 0.908
0.906 0.750 0.619
0.100 0.250 0.407
0.289 0.250 0.920
0.218 0.750 0.428
0.942 0.250 0.935
0.723 0.750 0.055
0.762 0.250 0.519
```

Results
As for the crystal system: monoclinic. Its corrected total energy (MP2020 scheme) is -7.92 eV per atom. For the energy of formation, the calculation gives -2401 meV per atom. The calculated density comes out at 3.410 Mg/m³.

---

(9)
Li9Mn2Co5O16 | PBE with a Hubbard U | optimized geometry

```
Li9Mn2Co5O16
1.0
5.752 0.000 0.000
0.000 5.183 0.000
0.000 1.391 9.630
Li Co O Mn
9 5 16 2
direct
0.000 0.256 0.254
0.500 0.500 0.500
0.749 0.500 0.000
0.251 0.500 0.000
0.748 0.000 0.500
0.252 0.000 0.500
0.500 0.758 0.739
0.000 0.744 0.746
0.500 0.242 0.261
0.252 0.736 0.259
0.748 0.736 0.259
0.252 0.264 0.741
0.748 0.264 0.741
0.000 0.500 0.500
0.253 0.889 0.885
0.500 0.874 0.360
0.232 0.604 0.619
0.747 0.111 0.115
0.500 0.658 0.119
0.768 0.604 0.619
0.500 0.126 0.640
0.500 0.342 0.881
0.232 0.396 0.381
0.000 0.371 0.860
0.768 0.396 0.381
0.000 0.837 0.386
0.253 0.111 0.115
0.000 0.163 0.614
0.747 0.889 0.885
0.000 0.629 0.140
0.000 0.000 0.000
0.500 0.000 0.000
```

Results
As for the crystal system: monoclinic. Its corrected total energy (MP2020 scheme) is -6.51 eV per atom. For the energy of formation, the calculation gives -1818 meV per atom. The calculated density comes out at 4.182 Mg/m³.

---

(10)
Li3V3Cr2O10 | PBE with a Hubbard U | optimized geometry

```
Li3V3Cr2O10
1.0
-0.926 5.029 -0.156
-2.392 1.994 7.183
10.333 -0.061 0.242
O Cr Li V
20 4 6 6
direct
0.753 0.779 0.388
0.234 0.863 0.515
0.794 0.328 0.764
0.198 0.060 0.837
0.198 0.060 0.337
0.221 0.468 0.443
0.206 0.672 0.236
0.802 0.940 0.163
0.794 0.328 0.264
0.753 0.779 0.888
0.234 0.863 0.015
0.206 0.672 0.736
0.766 0.137 0.485
0.247 0.221 0.612
0.779 0.532 0.557
0.247 0.221 0.112
0.779 0.532 0.057
0.766 0.137 0.985
0.802 0.940 0.663
0.221 0.468 0.943
0.012 0.691 0.053
0.988 0.309 0.448
0.012 0.691 0.552
0.988 0.309 0.947
0.000 0.500 0.750
0.508 0.427 0.605
0.508 0.427 0.105
0.492 0.573 0.895
0.000 0.500 0.250
0.492 0.573 0.395
0.994 0.882 0.341
0.500 0.000 0.000
0.006 0.118 0.659
0.006 0.118 0.159
0.500 0.000 0.500
0.994 0.882 0.841
```

Results
Its corrected total energy (MP2020 scheme) is -8.03 eV per atom. For the energy of formation, the calculation gives -2381 meV per atom. The calculated density comes out at 3.840 Mg/m³.